A relaxed structure of LiFeF4, computed with GGA+U.

Cell and atoms, written as POSCAR:
```
LiFeF4
1.0
-2.424 -3.927 0.994
2.076 -2.585 -5.153
8.064 -3.773 4.761
Fe F Li
4 16 4
Cartesian
0.438 -2.279 -2.248 Fe
3.276 -6.100 0.622 Fe
4.298 -7.389 -1.957 Fe
1.465 -3.560 -4.830 Fe
2.209 -2.094 -1.599 F
8.006 -4.192 3.226 F
6.749 -6.196 1.839 F
1.607 -6.140 1.816 F
2.692 -7.398 -0.790 F
2.426 -4.782 -0.422 F
-0.074 -2.756 -0.378 F
3.259 -3.366 -4.195 F
4.929 -6.065 -0.563 F
7.747 -7.517 -0.695 F
9.030 -5.548 0.645 F
4.096 -7.456 1.661 F
5.117 -8.774 -0.923 F
3.477 -6.015 -2.978 F
0.934 -4.119 -2.959 F
3.846 -4.824 2.048 F
6.862 -5.548 -0.130 Li
2.077 -2.584 0.444 Li
1.500 -5.817 -1.965 Li
4.893 -6.440 3.323 Li
```

Output
DFT formation energy	-2774	meV per atom

A relaxed structure of Na3CrPCO7, computed with GGA+U.

Cell and atoms, written as POSCAR:
```
Na3CrPCO7
1.0
0.062 6.672 5.296
0.062 -6.673 5.296
9.160 0.000 0.133
O C Na Cr P
28 4 12 4 4
Cartesian
8.222 1.668 8.098 O
5.204 -1.669 3.287 O
4.018 1.668 2.142 O
1.316 5.005 4.870 O
6.270 3.761 6.608 O
4.023 -1.668 6.368 O
8.159 1.668 2.802 O
3.014 2.911 4.115 O
8.414 5.004 4.112 O
1.317 -1.668 4.869 O
1.124 -1.668 7.922 O
1.062 -1.668 2.626 O
0.870 1.668 6.612 O
7.968 1.668 5.854 O
3.076 0.425 9.410 O
6.208 -0.425 1.313 O
0.869 -5.004 6.612 O
6.270 -2.912 6.610 O
5.261 -5.004 4.356 O
7.967 -5.005 5.854 O
4.080 1.669 7.437 O
5.261 1.668 4.357 O
3.014 -3.761 4.115 O
8.414 -1.668 4.113 O
5.266 -1.669 8.583 O
3.014 0.425 4.114 O
6.270 -0.425 6.610 O
4.023 5.004 6.368 O
8.684 1.668 1.620 C
0.538 -1.668 3.808 C
0.600 -1.668 9.104 C
8.746 1.668 6.916 C
6.863 -0.015 9.380 Na
0.841 1.668 4.155 Na
6.801 -3.320 4.084 Na
2.484 0.016 6.639 Na
8.443 5.005 6.567 Na
2.422 0.015 1.344 Na
2.483 3.322 6.639 Na
6.801 3.352 4.083 Na
2.484 -3.351 6.640 Na
0.841 -5.004 4.156 Na
8.443 -1.668 6.569 Na
6.800 -0.015 4.083 Na
3.304 5.005 4.115 Cr
5.980 1.668 6.607 Cr
5.979 -5.005 6.605 Cr
3.305 -1.668 4.117 Cr
5.416 -1.669 7.020 P
3.930 1.668 8.999 P
3.868 1.668 3.704 P
5.354 -1.668 1.724 P
```

Output
DFT formation energy	-2340	meV per atom

A relaxed structure of TaZn2WO6, computed with GGA+U.

Cell and atoms, written as POSCAR:
```
TaZn2WO6
1.0
-2.793 2.849 4.028
2.793 -2.849 4.028
2.793 2.849 -4.028
O W Zn Ta
6 1 2 1
Cartesian
1.568 1.385 0.000 O
0.195 0.000 1.987 O
1.535 -1.426 4.028 O
1.535 1.426 4.028 O
0.195 0.000 6.069 O
-1.225 1.464 4.028 O
0.095 0.000 4.028 W
2.607 0.000 2.008 Zn
-0.185 2.849 2.020 Zn
0.080 0.000 0.000 Ta
```

Output
DFT formation energy	-1863	meV per atom

A relaxed structure of Fe2O3, computed with GGA+U.

Cell and atoms, written as POSCAR:
```
Fe2O3
1.0
5.165 0.000 0.000
0.000 5.407 0.000
0.000 0.000 15.051
O Fe
24 16
Cartesian
1.022 5.309 5.665 O
0.776 4.556 0.771 O
0.734 2.003 10.584 O
3.605 2.802 9.386 O
1.849 4.707 10.584 O
0.776 3.555 8.297 O
3.316 2.003 11.992 O
1.849 3.404 3.059 O
4.389 1.852 6.754 O
3.359 4.556 6.754 O
4.431 3.404 4.467 O
4.389 0.851 14.280 O
1.022 2.802 13.191 O
4.142 2.605 1.860 O
1.560 2.605 5.665 O
3.359 3.555 14.280 O
1.560 0.098 13.191 O
4.431 4.707 11.992 O
1.806 0.851 8.297 O
3.605 5.309 1.860 O
1.806 1.852 0.771 O
0.734 0.701 3.059 O
3.316 0.701 4.467 O
4.142 0.098 9.386 O
2.589 1.441 2.719 Fe
0.006 1.262 12.332 Fe
2.576 3.966 12.332 Fe
2.589 1.262 10.244 Fe
0.007 3.790 6.450 Fe
0.006 1.441 4.807 Fe
2.589 3.790 1.075 Fe
2.576 4.145 4.807 Fe
0.007 4.321 13.976 Fe
2.589 4.321 8.600 Fe
2.576 1.086 6.450 Fe
5.158 1.086 1.075 Fe
2.576 1.618 13.976 Fe
5.159 4.145 2.719 Fe
5.159 3.966 10.244 Fe
5.158 1.618 8.600 Fe
```

Output
DFT formation energy	-1594	meV per atom

A relaxed structure of K2CoB12O30, computed with GGA+U.

Cell and atoms, written as POSCAR:
```
K2CoB12O30
1.0
1.193 -1.015 -7.890
5.089 6.251 -0.075
5.320 -7.629 4.018
B O K Co
12 30 2 1
Cartesian
3.456 1.556 -6.015 B
4.103 -2.433 -5.408 B
2.347 -0.491 -5.163 B
8.765 -2.906 -4.653 B
8.862 -0.143 -0.532 B
2.740 -2.250 -3.414 B
7.499 0.040 1.461 B
9.254 -1.902 1.216 B
8.146 -3.949 2.068 B
2.837 0.513 0.706 B
4.288 -1.461 0.555 B
7.314 -0.932 -4.502 B
3.786 -2.100 1.657 O
7.321 -3.284 2.953 O
5.998 0.986 -4.120 O
4.495 -4.835 2.721 O
3.672 -1.175 -5.813 O
2.480 -2.771 -2.191 O
7.107 2.442 -6.668 O
8.968 -3.316 1.162 O
5.604 -3.379 0.173 O
10.311 -1.630 2.162 O
5.471 3.803 0.117 O
2.133 -1.127 -3.906 O
2.634 0.923 -5.109 O
7.567 -2.199 -4.127 O
4.035 -0.194 0.181 O
7.816 -0.293 -5.604 O
6.131 -6.195 -4.064 O
2.919 2.304 -1.979 O
8.683 -4.697 -1.968 O
3.732 -2.932 -4.202 O
9.468 -1.266 -0.040 O
5.244 -2.154 -0.282 O
9.122 0.378 -1.756 O
7.929 -1.218 1.866 O
6.358 -0.239 -3.665 O
1.740 0.293 -0.190 O
9.862 -2.686 -3.757 O
4.281 0.891 -6.900 O
7.870 0.539 0.255 O
1.291 -0.763 -6.109 O
5.704 1.558 -1.452 K
5.898 -3.951 -2.495 K
0.000 0.000 0.000 Co
```

Output
DFT formation energy	-1672	meV per atom

A relaxed structure of Ba3CrO5, computed with GGA+U.

Cell and atoms, written as POSCAR:
```
Ba3CrO5
1.0
-4.207 -2.536 5.534
-5.996 0.566 -4.299
5.941 -4.558 -2.519
Ba O Cr
6 10 2
Cartesian
-4.681 -3.756 -0.333 Ba
0.420 -2.771 -0.951 Ba
-6.254 -0.346 -1.755 Ba
-1.587 -6.250 -0.912 Ba
3.267 -4.836 -2.890 Ba
-3.948 -1.624 2.990 Ba
-0.141 -4.805 1.294 O
-2.912 -5.340 1.629 O
-4.120 -1.722 -2.578 O
-5.101 -0.985 0.618 O
-1.597 -3.427 3.506 O
-2.664 -3.101 -4.790 O
0.000 0.000 0.000 O
-2.083 -2.584 0.835 O
-2.178 -3.943 -2.119 O
-1.349 -1.187 -2.913 O
-1.683 -4.039 1.816 Cr
-2.578 -2.488 -3.100 Cr
```

Output
DFT formation energy	-2750	meV per atom

A relaxed structure of MoH8N2O4, computed with GGA+U.

Cell and atoms, written as POSCAR:
```
MoH8N2O4
1.0
3.602 6.053 0.000
-3.602 6.053 0.000
0.000 3.540 7.128
Mo O H N
2 8 16 4
Cartesian
0.000 3.403 1.773 Mo
0.000 12.243 5.355 Mo
2.123 9.504 2.755 O
-2.123 6.142 4.373 O
0.000 7.825 7.118 O
-2.123 9.504 2.755 O
0.000 13.883 6.099 O
0.000 7.821 0.010 O
0.000 1.762 1.029 O
2.123 6.142 4.373 O
-0.818 6.038 2.729 H
0.839 4.957 5.035 H
0.000 10.805 0.604 H
0.839 10.689 2.093 H
0.000 12.134 1.660 H
0.000 3.511 5.468 H
-0.839 10.689 2.093 H
-0.839 4.957 5.035 H
0.000 7.185 6.383 H
0.000 6.322 1.303 H
0.818 9.607 4.399 H
-0.818 9.607 4.399 H
0.000 8.460 0.745 H
0.818 6.038 2.729 H
0.000 9.323 5.825 H
0.000 4.840 6.524 H
0.000 5.765 2.169 N
0.000 4.554 5.505 N
0.000 9.881 4.959 N
0.000 11.091 1.623 N
```

Output
DFT formation energy	-973	meV per atom

A relaxed structure of Li2Mn3FeO8, computed with GGA+U.

Cell and atoms, written as POSCAR:
```
Li2Mn3FeO8
1.0
8.307 0.001 0.006
0.001 8.299 0.001
0.006 0.001 8.309
O Mn Li Fe
32 12 8 4
Cartesian
2.975 3.106 7.058 O
1.185 5.198 2.903 O
7.198 7.191 7.200 O
5.270 1.111 3.043 O
3.041 5.261 1.117 O
4.981 3.121 5.051 O
7.127 1.046 1.259 O
7.259 5.401 5.346 O
5.208 2.901 1.188 O
0.968 5.115 7.348 O
3.193 3.186 3.194 O
7.420 3.327 7.290 O
3.106 7.051 2.972 O
1.054 1.251 7.125 O
7.284 7.405 3.338 O
0.897 7.474 5.182 O
1.255 7.119 1.053 O
1.117 3.040 5.271 O
7.347 0.965 5.122 O
5.413 5.332 7.263 O
3.263 0.826 1.027 O
5.340 7.255 5.413 O
5.118 7.336 0.967 O
0.827 1.027 3.262 O
7.483 5.180 0.901 O
3.131 5.045 4.980 O
5.187 0.898 7.490 O
3.336 7.274 7.419 O
1.027 3.255 0.825 O
7.056 2.970 3.109 O
5.048 4.976 3.132 O
2.903 1.181 5.209 O
3.171 7.208 1.041 Mn
5.139 3.060 3.120 Mn
5.253 7.263 7.329 Mn
5.193 0.982 1.098 Mn
3.119 5.133 3.063 Mn
7.272 7.317 5.255 Mn
1.095 5.190 0.985 Mn
0.987 1.092 5.194 Mn
1.043 3.169 7.215 Mn
7.216 1.038 3.177 Mn
7.328 5.245 7.276 Mn
3.064 3.112 5.139 Mn
4.120 8.265 4.197 Li
8.270 4.191 4.124 Li
2.120 6.264 6.197 Li
6.201 2.113 6.276 Li
4.201 4.113 8.276 Li
6.268 6.192 2.120 Li
2.039 2.036 2.039 Li
0.036 0.033 0.036 Li
1.042 7.263 3.118 Fe
7.272 3.114 1.048 Fe
5.195 5.186 5.199 Fe
3.121 1.042 7.273 Fe
```

Output
DFT formation energy	-1957	meV per atom

| no. | ρ (g cm⁻³) | corrected total energy (MP2020 scheme) (eV per atom) |
| --- | --- | --- |
| 1 | 3.158 | -5.78 |
| 2 | 2.832 | -7.18 |
| 3 | 7.664 | -7.57 |
| 4 | 5.047 | -7.95 |
| 5 | 2.003 | -6.96 |
| 6 | 5.575 | -7.21 |
| 7 | 2.094 | -5.94 |
| 8 | 4.204 | -7.63 |